[1]
Crystalline GdSi2 at its relaxed geometry. Source: the Materials Project database, functional PBE.

a b c (Å): 7.721 7.721 7.721
angles (deg): 149.66 149.66 43.45
Fractional positions:
Gd  0.375  0.625  0.750
Gd  0.625  0.375  0.250
Si  0.042  0.792  0.250
Si  0.208  0.958  0.250
Si  0.792  0.042  0.750
Si  0.958  0.208  0.750

Values from the calculation:
The value obtained for the energy with MP2020 corrections is -8.85 eV/atom. Its electronic total energy is -8.901 eV/atom. As for the symmetry: I4_1/amd (141). For the energy of formation, the calculation gives -0.54 eV per atom.

=====

[2]
Crystalline Gd2Si3 at its relaxed geometry. Source: the Materials Project database, functional PBE.

a b c (Å): 3.981 3.981 8.000
angles (deg): 90.00 90.00 120.00
Fractional positions:
Gd  0.000  0.000  0.243
Gd  0.000  0.000  0.757
Si  0.333  0.667  0.500
Si  0.667  0.333  0.000
Si  0.667  0.333  0.500

Values from the calculation:
The value obtained for the energy with MP2020 corrections is -9.30 eV/atom. Its electronic total energy is -9.343 eV/atom. As for the symmetry: P-6m2 (187). For the energy of formation, the calculation gives -0.41 eV per atom.

=====

[3]
Crystalline GdZnSi at its relaxed geometry. Source: the Materials Project database, functional PBE.

a b c (Å): 4.135 4.135 4.106
angles (deg): 90.00 90.00 120.00
Fractional positions:
Gd  0.000  0.000  0.000
Zn  0.667  0.333  0.500
Si  0.333  0.667  0.500

Values from the calculation:
The value obtained for the energy with MP2020 corrections is -7.53 eV/atom. Its electronic total energy is -7.549 eV/atom. As for the symmetry: P-6m2 (187). For the energy of formation, the calculation gives -0.61 eV per atom.

=====

[4]
Crystalline Sm3Gd at its relaxed geometry. Source: the Materials Project database, functional PBE.

a b c (Å): 7.274 7.274 5.884
angles (deg): 90.00 90.00 120.00
Fractional positions:
Sm  0.169  0.339  0.250
Sm  0.169  0.831  0.250
Sm  0.339  0.169  0.750
Sm  0.661  0.831  0.250
Sm  0.831  0.169  0.750
Sm  0.831  0.661  0.750
Gd  0.333  0.667  0.750
Gd  0.667  0.333  0.250

Values from the calculation:
Its electronic total energy is -7.039 eV/atom. As for the symmetry: P6_3/mmc (194). For the energy of formation, the calculation gives 0.02 eV per atom.

=====

[5]
Crystalline SmGd3 at its relaxed geometry. Source: the Materials Project database, functional PBE.

a b c (Å): 7.317 7.317 5.841
angles (deg): 90.00 90.00 120.00
Fractional positions:
Sm  0.333  0.667  0.250
Sm  0.667  0.333  0.750
Gd  0.166  0.333  0.750
Gd  0.166  0.834  0.750
Gd  0.333  0.166  0.250
Gd  0.667  0.834  0.750
Gd  0.834  0.166  0.250
Gd  0.834  0.667  0.250

Values from the calculation:
Its electronic total energy is -11.734 eV/atom. As for the symmetry: P6_3/mmc (194). For the energy of formation, the calculation gives 0.00 eV per atom. As for the relative energy among the computed polymorphs: 0 meV per atom.

=====

[6]
Crystalline SmGd3 at its relaxed geometry. Source: the Materials Project database, functional PBE.

a b c (Å): 6.244 6.244 6.244
angles (deg): 131.93 131.93 70.34
Fractional positions:
Sm  0.000  0.000  0.000
Gd  0.250  0.750  0.500
Gd  0.500  0.500  0.000
Gd  0.750  0.250  0.500

Values from the calculation:
Its electronic total energy is -11.711 eV/atom. As for the symmetry: I4/mmm (139). For the energy of formation, the calculation gives 0.03 eV per atom. As for the relative energy among the computed polymorphs: 23 meV per atom.

=====

[7]
Crystalline SmGdZn2 at its relaxed geometry. Source: the Materials Project database, functional PBE.

a b c (Å): 5.138 5.138 5.138
angles (deg): 60.00 60.00 60.00
Fractional positions:
Sm  0.000  0.000  0.000
Gd  0.500  0.500  0.500
Zn  0.250  0.250  0.250
Zn  0.750  0.750  0.750

Values from the calculation:
Its electronic total energy is -5.673 eV/atom. As for the symmetry: Fm-3m (225). For the energy of formation, the calculation gives -0.34 eV per atom.

=====

[8]
Crystalline GdSn2 at its relaxed geometry. Source: the Materials Project database, functional PBE.

a b c (Å): 8.531 8.531 4.395
angles (deg): 90.00 90.00 149.50
Fractional positions:
Gd  0.098  0.902  0.750
Gd  0.902  0.098  0.250
Sn  0.250  0.750  0.250
Sn  0.436  0.564  0.750
Sn  0.564  0.436  0.250
Sn  0.750  0.250  0.750

Values from the calculation:
Its electronic total energy is -7.969 eV/atom. As for the symmetry: Cmcm (63). For the energy of formation, the calculation gives -0.60 eV per atom.

=====

Q: Among the records above, which one has the highest electronic total energy?
A: SmGdZn2

=====

Q: The lowest energy of formation belongs to which entry?
A: GdZnSi

=====

Q: Which formula does entry 5 have?
A: SmGd3

=====

Q: Which of these has the lowest energy of formation?
A: GdZnSi